[1]
DFT (PBE) results for Ba2MgNb6N2O14 after structural relaxation.

Properties
Formation energy = -2707 meV/atom
Corrected total energy (MP2020 scheme) = -8.79 eV per atom
Electronic total energy = -210.05 eV/cell
Total moment = 0.000 μB/f.u.

Cell lengths 3.969, 9.274, 10.898 Å; angles 89.15, 79.61, 89.99 degrees
Sites, in units of the cell vectors:
Ba (0.000, 0.000, 0.000)
Ba (0.139, 0.469, 0.728)
Mg (0.201, 0.000, 0.606)
Nb (0.355, 0.990, 0.293)
Nb (0.473, 0.318, 0.056)
Nb (0.493, 0.670, 0.016)
Nb (0.755, 0.786, 0.496)
Nb (0.766, 0.216, 0.473)
Nb (0.885, 0.516, 0.232)
N (0.415, 0.519, 0.173)
N (0.824, 0.364, 0.356)
O (0.267, 0.844, 0.473)
O (0.268, 0.150, 0.469)
O (0.414, 0.154, 0.176)
O (0.416, 0.856, 0.170)
O (0.540, 0.198, 0.918)
O (0.543, 0.836, 0.912)
O (0.547, 0.508, 0.908)
O (0.690, 0.310, 0.625)
O (0.695, 0.646, 0.616)
O (0.701, 0.979, 0.605)
O (0.831, 0.678, 0.342)
O (0.832, 0.015, 0.340)
O (0.964, 0.348, 0.074)
O (0.977, 0.680, 0.049)



[2]
DFT (PBE) results for Ba2MgNb6N2O14 after structural relaxation.

Properties
Formation energy = -2756 meV/atom
Corrected total energy (MP2020 scheme) = -8.84 eV per atom
Electronic total energy = -211.27 eV/cell
Total moment = 0.000 μB/f.u.

Cell lengths 10.621, 10.621, 9.119 Å; angles 91.62, 91.62, 21.74 degrees
Sites, in units of the cell vectors:
Ba (0.000, 0.000, 0.000)
Ba (0.035, 0.035, 0.520)
Mg (0.246, 0.246, 0.334)
Nb (0.260, 0.260, 0.993)
Nb (0.390, 0.390, 0.686)
Nb (0.393, 0.393, 0.314)
Nb (0.649, 0.649, 0.206)
Nb (0.660, 0.660, 0.817)
Nb (0.795, 0.795, 0.549)
N (0.314, 0.314, 0.504)
N (0.730, 0.730, 0.685)
O (0.169, 0.169, 0.872)
O (0.171, 0.171, 0.190)
O (0.312, 0.312, 0.176)
O (0.321, 0.321, 0.856)
O (0.447, 0.447, 0.508)
O (0.456, 0.456, 0.177)
O (0.458, 0.458, 0.828)
O (0.585, 0.585, 0.338)
O (0.590, 0.590, 0.690)
O (0.600, 0.600, 0.024)
O (0.728, 0.728, 0.358)
O (0.734, 0.734, 0.016)
O (0.885, 0.885, 0.340)
O (0.885, 0.885, 0.678)



[3]
DFT (PBE) results for Ba2MgNb6N2O14 after structural relaxation.

Properties
Formation energy = -2763 meV/atom
Corrected total energy (MP2020 scheme) = -8.84 eV per atom
Electronic total energy = -211.45 eV/cell
Total moment = 0.000 μB/f.u.

Cell lengths 10.655, 10.655, 9.111 Å; angles 91.34, 91.34, 21.56 degrees
Sites, in units of the cell vectors:
Ba (0.000, 0.000, 0.000)
Ba (0.032, 0.032, 0.496)
Mg (0.790, 0.790, 0.178)
Nb (0.248, 0.248, 0.970)
Nb (0.382, 0.382, 0.297)
Nb (0.382, 0.382, 0.684)
Nb (0.643, 0.643, 0.188)
Nb (0.643, 0.643, 0.814)
Nb (0.775, 0.775, 0.514)
N (0.311, 0.311, 0.139)
N (0.722, 0.722, 0.001)
O (0.154, 0.154, 0.163)
O (0.154, 0.154, 0.836)
O (0.300, 0.300, 0.500)
O (0.305, 0.305, 0.817)
O (0.433, 0.433, 0.503)
O (0.446, 0.446, 0.825)
O (0.453, 0.453, 0.182)
O (0.576, 0.576, 0.678)
O (0.581, 0.581, 0.327)
O (0.588, 0.588, 0.998)
O (0.713, 0.713, 0.651)
O (0.723, 0.723, 0.333)
O (0.862, 0.862, 0.334)
O (0.863, 0.863, 0.650)



[4]
DFT (PBE) results for Ba2MgNb6N2O14 after structural relaxation.

Properties
Formation energy = -2731 meV/atom
Corrected total energy (MP2020 scheme) = -8.81 eV per atom
Electronic total energy = -210.65 eV/cell
Total moment = 0.000 μB/f.u.

Cell lengths 10.786, 10.786, 9.169 Å; angles 101.32, 101.32, 21.51 degrees
Sites, in units of the cell vectors:
Ba (0.000, 0.000, 0.000)
Ba (0.154, 0.154, 0.346)
Mg (0.619, 0.619, 0.696)
Nb (0.353, 0.353, 0.950)
Nb (0.475, 0.475, 0.673)
Nb (0.485, 0.485, 0.314)
Nb (0.748, 0.748, 0.051)
Nb (0.769, 0.769, 0.692)
Nb (0.886, 0.886, 0.414)
N (0.420, 0.420, 0.121)
N (0.828, 0.828, 0.908)
O (0.267, 0.267, 0.051)
O (0.272, 0.272, 0.715)
O (0.406, 0.406, 0.459)
O (0.420, 0.420, 0.820)
O (0.541, 0.541, 0.530)
O (0.551, 0.551, 0.825)
O (0.557, 0.557, 0.217)
O (0.682, 0.682, 0.561)
O (0.693, 0.693, 0.183)
O (0.695, 0.695, 0.857)
O (0.822, 0.822, 0.547)
O (0.828, 0.828, 0.241)
O (0.962, 0.962, 0.641)
O (0.979, 0.979, 0.324)



[5]
DFT (PBE) results for Ba4MgSi2N6 after structural relaxation.

Properties
Formation energy = -1084 meV/atom
Corrected total energy (MP2020 scheme) = -6.48 eV per atom
Electronic total energy = -164.15 eV/cell
Total moment = 0.000 μB/f.u.

Cell lengths 11.795, 11.046, 6.992 Å; angles 78.13, 66.42, 35.46 degrees
Sites, in units of the cell vectors:
Ba (0.025, 0.025, 0.725)
Ba (0.206, 0.206, 0.544)
Ba (0.275, 0.275, 0.975)
Ba (0.456, 0.456, 0.794)
Ba (0.544, 0.544, 0.206)
Ba (0.725, 0.725, 0.025)
Ba (0.794, 0.794, 0.456)
Ba (0.975, 0.975, 0.275)
Mg (0.375, 0.375, 0.375)
Mg (0.625, 0.625, 0.625)
Si (0.033, 0.717, 0.717)
Si (0.283, 0.967, 0.967)
Si (0.717, 0.033, 0.033)
Si (0.967, 0.283, 0.283)
N (0.010, 0.240, 0.010)
N (0.100, 0.513, 0.658)
N (0.228, 0.658, 0.513)
N (0.240, 0.010, 0.240)
N (0.342, 0.772, 0.900)
N (0.487, 0.900, 0.772)
N (0.513, 0.100, 0.228)
N (0.658, 0.228, 0.100)
N (0.760, 0.990, 0.760)
N (0.772, 0.342, 0.487)
N (0.900, 0.487, 0.342)
N (0.990, 0.760, 0.990)



[6]
DFT (PBE) results for BaNaMg14 after structural relaxation.

Properties
Formation energy = 90 meV/atom
Electronic total energy = -24.21 eV/cell
Total moment = 0.034 μB/f.u.

Cell lengths 6.766, 6.766, 10.506 Å; angles 90.00, 90.00, 120.00 degrees
Sites, in units of the cell vectors:
Ba (0.000, 0.000, 0.000)
Na (0.000, 0.000, 0.500)
Mg (0.000, 0.500, 0.500)
Mg (0.012, 0.506, 0.000)
Mg (0.174, 0.349, 0.259)
Mg (0.174, 0.349, 0.741)
Mg (0.174, 0.826, 0.259)
Mg (0.174, 0.826, 0.741)
Mg (0.494, 0.506, 0.000)
Mg (0.494, 0.988, 0.000)
Mg (0.500, 0.000, 0.500)
Mg (0.500, 0.500, 0.500)
Mg (0.651, 0.826, 0.259)
Mg (0.651, 0.826, 0.741)
Mg (0.667, 0.333, 0.247)
Mg (0.667, 0.333, 0.753)



[7]
DFT (PBE) results for BaNaMg6 after structural relaxation.

Properties
Formation energy = 115 meV/atom
Electronic total energy = -23.85 eV/cell
Total moment = 0.003 μB/f.u.

Cell lengths 5.386, 6.681, 12.870 Å; angles 90.00, 90.00, 90.00 degrees
Sites, in units of the cell vectors:
Ba (0.500, 0.500, 0.178)
Ba (0.500, 0.000, 0.678)
Na (0.500, 0.000, 0.169)
Na (0.500, 0.500, 0.669)
Mg (0.500, 0.253, 0.424)
Mg (0.500, 0.747, 0.424)
Mg (0.000, 0.758, 0.062)
Mg (0.000, 0.242, 0.062)
Mg (0.000, 0.000, 0.332)
Mg (0.000, 0.500, 0.349)
Mg (0.500, 0.753, 0.924)
Mg (0.500, 0.247, 0.924)
Mg (0.000, 0.258, 0.562)
Mg (0.000, 0.742, 0.562)
Mg (0.000, 0.500, 0.832)
Mg (0.000, 0.000, 0.849)



[8]
DFT (PBE) results for BaNaMg6 after structural relaxation.

Properties
Formation energy = 121 meV/atom
Electronic total energy = -23.75 eV/cell
Total moment = 0.002 μB/f.u.

Cell lengths 5.400, 6.999, 12.301 Å; angles 90.00, 90.00, 90.00 degrees
Sites, in units of the cell vectors:
Ba (0.500, 0.500, 0.169)
Ba (0.500, 0.000, 0.669)
Na (0.000, 0.500, 0.344)
Na (0.000, 0.000, 0.844)
Mg (0.000, 0.771, 0.075)
Mg (0.000, 0.229, 0.075)
Mg (0.000, 0.000, 0.332)
Mg (0.500, 0.249, 0.422)
Mg (0.500, 0.751, 0.422)
Mg (0.500, 0.000, 0.160)
Mg (0.000, 0.271, 0.575)
Mg (0.000, 0.729, 0.575)
Mg (0.000, 0.500, 0.832)
Mg (0.500, 0.749, 0.922)
Mg (0.500, 0.251, 0.922)
Mg (0.500, 0.500, 0.660)